[1]
## MgFe8O14F2 (GGA+U)

Data for a relaxed MgFe8O14F2 crystal.

a = 5.064 Å, b = 5.064 Å, c = 12.031 Å
α = 91.96°, β = 91.86°, γ = 78.01°
Fractional coordinates of all 25 atoms:
1 O 0.219 0.831 0.122
2 O 0.394 0.384 0.247
3 O 0.727 0.719 0.225
4 O 0.846 0.232 0.373
5 O 0.834 0.212 0.117
6 O 0.293 0.315 0.775
7 O 0.320 0.323 0.999
8 O 0.268 0.257 0.530
9 O 0.161 0.755 0.632
10 O 0.233 0.843 0.372
11 O 0.636 0.637 0.755
12 O 0.765 0.151 0.637
13 O 0.636 0.651 0.991
14 O 0.152 0.803 0.877
15 Fe 0.514 0.508 0.116
16 Fe 0.087 0.070 0.999
17 Fe 0.958 0.961 0.236
18 Fe 0.894 0.871 0.751
19 Fe 0.009 0.005 0.518
20 Fe 0.455 0.501 0.878
21 Fe 0.437 0.427 0.645
22 Fe 0.593 0.591 0.350
23 F 0.783 0.172 0.877
24 F 0.747 0.744 0.480
25 Mg 0.246 0.245 0.371

Summary:
The value obtained for the offset from the most stable computed form is 2.91 eV/f.u.


[2]
## Li3Mn2P3O12 (GGA+U)

Data for a relaxed Li3Mn2P3O12 crystal.

a = 8.711 Å, b = 8.675 Å, c = 12.221 Å
α = 85.96°, β = 90.00°, γ = 90.00°
Fractional coordinates of all 80 atoms:
1 O 0.593 0.746 0.507
2 O 0.878 0.524 0.584
3 O 0.388 0.436 0.661
4 O 0.100 0.945 0.660
5 O 0.671 0.337 0.584
6 O 0.407 0.254 0.493
7 O 0.597 0.260 0.791
8 O 0.329 0.337 0.084
9 O 0.174 0.851 0.092
10 O 0.826 0.149 0.908
11 O 0.612 0.436 0.161
12 O 0.900 0.945 0.160
13 O 0.100 0.055 0.840
14 O 0.097 0.273 0.211
15 O 0.591 0.004 0.606
16 O 0.306 0.867 0.804
17 O 0.409 0.996 0.394
18 O 0.306 0.133 0.696
19 O 0.061 0.254 0.017
20 O 0.403 0.740 0.209
21 O 0.122 0.524 0.084
22 O 0.407 0.746 0.007
23 O 0.671 0.663 0.916
24 O 0.183 0.378 0.812
25 O 0.939 0.254 0.517
26 O 0.388 0.564 0.839
27 O 0.878 0.476 0.916
28 O 0.612 0.564 0.339
29 O 0.817 0.378 0.312
30 O 0.409 0.004 0.106
31 O 0.900 0.055 0.340
32 O 0.097 0.727 0.289
33 O 0.826 0.851 0.592
34 O 0.694 0.867 0.304
35 O 0.183 0.622 0.688
36 O 0.817 0.622 0.188
37 O 0.939 0.746 0.983
38 O 0.403 0.260 0.291
39 O 0.694 0.133 0.196
40 O 0.597 0.740 0.709
41 O 0.329 0.663 0.416
42 O 0.122 0.476 0.416
43 O 0.903 0.273 0.711
44 O 0.591 0.996 0.894
45 O 0.174 0.149 0.408
46 O 0.061 0.746 0.483
47 O 0.903 0.727 0.789
48 O 0.593 0.254 0.993
49 P 0.151 0.651 0.401
50 P 0.645 0.840 0.605
51 P 0.283 0.500 0.750
52 P 0.849 0.349 0.599
53 P 0.645 0.160 0.895
54 P 0.355 0.160 0.395
55 P 0.151 0.349 0.099
56 P 0.849 0.651 0.901
57 P 0.717 0.500 0.250
58 P 0.355 0.840 0.105
59 P 0.792 0.000 0.250
60 P 0.208 0.000 0.750
61 Li 0.416 0.500 0.250
62 Li 0.584 0.500 0.750
63 Li 0.000 0.000 0.000
64 Li 0.803 0.307 0.051
65 Li 0.000 0.000 0.500
66 Li 0.803 0.693 0.449
67 Li 0.912 0.000 0.750
68 Li 0.088 0.000 0.250
69 Li 0.500 0.500 0.000
70 Li 0.500 0.500 0.500
71 Li 0.197 0.307 0.551
72 Li 0.197 0.693 0.949
73 Mn 0.504 0.791 0.854
74 Mn 0.003 0.284 0.357
75 Mn 0.496 0.791 0.354
76 Mn 0.997 0.716 0.643
77 Mn 0.504 0.209 0.646
78 Mn 0.496 0.209 0.146
79 Mn 0.997 0.284 0.857
80 Mn 0.003 0.716 0.143

Summary:
The value obtained for the offset from the most stable computed form is 0.91 eV/f.u.


[3]
## MgTiCo2O6 (GGA+U)

Data for a relaxed MgTiCo2O6 crystal.

a = 6.414 Å, b = 3.028 Å, c = 5.908 Å
α = 90.01°, β = 102.11°, γ = 76.37°
Fractional coordinates of all 10 atoms:
1 O 0.694 0.149 0.914
2 O 0.002 0.496 0.220
3 O 0.988 0.502 0.748
4 O 0.349 0.821 0.582
5 O 0.324 0.836 0.136
6 O 0.633 0.180 0.409
7 Mg 0.660 0.666 0.158
8 Co 0.686 0.653 0.661
9 Co 0.028 0.983 0.972
10 Ti 0.293 0.348 0.378

Summary:
The value obtained for the offset from the most stable computed form is 0.00 eV/f.u.


[4]
## HoTlW2O8 (GGA+U)

Data for a relaxed HoTlW2O8 crystal.

a = 7.605 Å, b = 7.605 Å, c = 7.485 Å
α = 62.53°, β = 62.53°, γ = 88.58°
Fractional coordinates of all 24 atoms:
1 W 0.701 0.690 0.780
2 W 0.690 0.701 0.280
3 W 0.310 0.299 0.720
4 W 0.299 0.310 0.220
5 O 0.376 0.062 0.879
6 O 0.938 0.624 0.621
7 O 0.411 0.630 0.035
8 O 0.786 0.956 0.691
9 O 0.062 0.376 0.379
10 O 0.758 0.619 0.057
11 O 0.044 0.214 0.809
12 O 0.381 0.242 0.443
13 O 0.370 0.589 0.465
14 O 0.624 0.938 0.121
15 O 0.242 0.381 0.943
16 O 0.956 0.786 0.191
17 O 0.589 0.370 0.965
18 O 0.630 0.411 0.535
19 O 0.214 0.044 0.309
20 O 0.619 0.758 0.557
21 Tl 0.797 0.203 0.250
22 Tl 0.203 0.797 0.750
23 Ho 0.776 0.224 0.750
24 Ho 0.224 0.776 0.250


| no. | DFT formation energy (meV/atom) |
| --- | --- |
| 1 | -1519.8 |
| 2 | -2518.3 |
| 3 | -2164.9 |
| 4 | -2508.1 |